# 1
# MgTi8Ni8O24 PBE with a Hubbard U optimized geometry
data_MgTi8Ni8O24
_space_group_name_H-M_alt 'P 1'
_space_group_IT_number 1
_cell_length_a 5.602
_cell_length_b 9.097
_cell_length_c 9.275
_cell_angle_alpha 67.99
_cell_angle_beta 83.53
_cell_angle_gamma 86.07
loop_
_space_group_symop_operation_xyz
'x,y,z'
loop_
_atom_site_label
_atom_site_type_symbol
_atom_site_fract_x
_atom_site_fract_y
_atom_site_fract_z
_atom_site_occupancy
Mg1 Mg 0.000 0.000 0.000 1
Ti1 Ti 0.354 0.275 0.827 1
Ti2 Ti 0.434 0.429 0.476 1
Ti3 Ti 0.479 0.909 0.956 1
Ti4 Ti 0.857 0.252 0.351 1
Ti5 Ti 0.870 0.753 0.819 1
Ti6 Ti 0.926 0.409 0.984 1
Ti7 Ti 0.961 0.658 0.225 1
Ti8 Ti 0.980 0.897 0.475 1
Ni1 Ni 0.351 0.513 0.073 1
Ni2 Ni 0.371 0.005 0.585 1
Ni3 Ni 0.375 0.761 0.326 1
Ni4 Ni 0.392 0.187 0.259 1
Ni5 Ni 0.462 0.660 0.721 1
Ni6 Ni 0.659 0.027 0.169 1
Ni7 Ni 0.848 0.514 0.579 1
Ni8 Ni 0.939 0.179 0.711 1
O1 O 0.003 0.719 0.419 1
O2 O 0.011 0.129 0.520 1
O3 O 0.113 0.322 0.183 1
O4 O 0.152 0.804 0.682 1
O5 O 0.165 0.368 0.620 1
O6 O 0.214 0.838 0.119 1
O7 O 0.291 0.042 0.797 1
O8 O 0.302 0.455 0.878 1
O9 O 0.305 0.544 0.287 1
O10 O 0.311 0.963 0.386 1
O11 O 0.464 0.118 0.002 1
O12 O 0.505 0.609 0.524 1
O13 O 0.513 0.225 0.440 1
O14 O 0.514 0.716 0.924 1
O15 O 0.629 0.313 0.681 1
O16 O 0.650 0.356 0.122 1
O17 O 0.690 0.858 0.622 1
O18 O 0.701 0.806 0.171 1
O19 O 0.804 0.957 0.855 1
O20 O 0.812 0.464 0.367 1
O21 O 0.817 0.552 0.787 1
O22 O 0.842 0.055 0.311 1
O23 O 0.994 0.232 0.917 1
O24 O 0.995 0.623 0.024 1
# corrected total energy (MP2020 scheme) = -329.853 eV/cell
# crystal system = triclinic
# E_form = -2.44 eV/atom
# distance to the lowest polymorph of the same formula = 43 meV/atom

# 2
# MgTi8Ni8O24 PBE with a Hubbard U optimized geometry
data_MgTi8Ni8O24
_space_group_name_H-M_alt 'P 1'
_space_group_IT_number 1
_cell_length_a 5.706
_cell_length_b 8.948
_cell_length_c 9.177
_cell_angle_alpha 70.03
_cell_angle_beta 82.61
_cell_angle_gamma 86.76
loop_
_space_group_symop_operation_xyz
'x,y,z'
loop_
_atom_site_label
_atom_site_type_symbol
_atom_site_fract_x
_atom_site_fract_y
_atom_site_fract_z
_atom_site_occupancy
Mg1 Mg 0.000 0.000 0.000 1
Ti1 Ti 0.328 0.576 0.763 1
Ti2 Ti 0.346 0.079 0.247 1
Ti3 Ti 0.391 0.801 0.021 1
Ti4 Ti 0.442 0.720 0.418 1
Ti5 Ti 0.450 0.237 0.878 1
Ti6 Ti 0.835 0.084 0.717 1
Ti7 Ti 0.869 0.566 0.249 1
Ti8 Ti 0.935 0.237 0.379 1
Ni1 Ni 0.342 0.325 0.493 1
Ni2 Ni 0.415 0.981 0.642 1
Ni3 Ni 0.461 0.466 0.155 1
Ni4 Ni 0.846 0.325 0.002 1
Ni5 Ni 0.856 0.804 0.546 1
Ni6 Ni 0.910 0.927 0.277 1
Ni7 Ni 0.934 0.477 0.642 1
Ni8 Ni 0.940 0.724 0.908 1
O1 O 0.007 0.657 0.720 1
O2 O 0.026 0.770 0.107 1
O3 O 0.096 0.952 0.792 1
O4 O 0.141 0.430 0.292 1
O5 O 0.166 0.361 0.860 1
O6 O 0.177 0.852 0.385 1
O7 O 0.288 0.125 0.433 1
O8 O 0.297 0.530 0.544 1
O9 O 0.318 0.629 0.946 1
O10 O 0.327 0.023 0.028 1
O11 O 0.480 0.179 0.698 1
O12 O 0.488 0.764 0.612 1
O13 O 0.491 0.263 0.101 1
O14 O 0.503 0.681 0.205 1
O15 O 0.588 0.935 0.278 1
O16 O 0.611 0.441 0.785 1
O17 O 0.634 0.873 0.863 1
O18 O 0.656 0.367 0.354 1
O19 O 0.781 0.154 0.902 1
O20 O 0.782 0.032 0.539 1
O21 O 0.791 0.631 0.435 1
O22 O 0.806 0.521 0.062 1
O23 O 0.977 0.273 0.589 1
O24 O 0.997 0.165 0.204 1
# corrected total energy (MP2020 scheme) = -329.436 eV/cell
# crystal system = triclinic
# E_form = -2.43 eV/atom
# distance to the lowest polymorph of the same formula = 53 meV/atom